# Ba2CeSnO6 | the Materials Project | PBE | relaxed
data_Ba2CeSnO6
_chemical_formula_sum 'Ba8 Ce4 Sn4 O24'
_space_group_name_H-M_alt 'P 1'
_space_group_IT_number 1
_cell_length_a 8.659
_cell_length_b 8.659
_cell_length_c 8.659
_cell_angle_alpha 90.00
_cell_angle_beta 90.00
_cell_angle_gamma 90.00
loop_
_space_group_symop_operation_xyz
'x,y,z'
loop_
_atom_site_label
_atom_site_fract_x
_atom_site_fract_y
_atom_site_fract_z
O1 0.732 0.508 0.233
Ba1 0.000 0.500 0.500
O2 0.767 0.268 0.508
O3 0.492 0.233 0.268
Ba2 0.500 0.000 0.500
O4 0.008 0.733 0.768
O5 0.767 0.732 0.492
O6 0.232 0.008 0.267
Ba3 0.000 0.000 0.500
O7 0.232 0.992 0.733
Ba4 0.500 0.000 0.000
O8 0.992 0.733 0.232
Sn1 0.750 0.250 0.750
Ba5 0.000 0.500 0.000
O9 0.768 0.008 0.733
O10 0.268 0.508 0.767
Sn2 0.250 0.250 0.250
Ce1 0.250 0.250 0.750
O11 0.508 0.233 0.732
O12 0.732 0.492 0.767
O13 0.233 0.732 0.508
Ba6 0.500 0.500 0.500
O14 0.268 0.492 0.233
Sn3 0.250 0.750 0.750
O15 0.768 0.992 0.267
O16 0.267 0.232 0.008
Ce2 0.250 0.750 0.250
Ba7 0.000 0.000 0.000
O17 0.492 0.767 0.732
O18 0.733 0.232 0.992
O19 0.233 0.268 0.492
O20 0.008 0.267 0.232
Ce3 0.750 0.750 0.750
O21 0.733 0.768 0.008
Ce4 0.750 0.250 0.250
O22 0.267 0.768 0.992
O23 0.992 0.267 0.768
O24 0.508 0.767 0.268
Ba8 0.500 0.500 0.000
Sn4 0.750 0.750 0.250
# formation enthalpy at 0 K	-3.12	eV per atom
# symmetry	No. 201